DFT (GGA-PBE) results for LiTbAu2 after structural relaxation.

POSCAR file:
```
LiTbAu2
1.0
0.636 -4.459 -1.878
-2.782 -3.709 1.524
-3.373 -1.901 -2.970
Li Tb Au
1 1 2
Cartesian
-2.759 -5.035 -1.662
0.000 0.000 0.000
-4.139 -7.552 -2.494
-1.380 -2.517 -0.831
```

Calculated values
- mass density (Mg/m³) = 11.311
- ΔH_f (0 K) (eV per atom) = -0.710
- DFT total energy (eV/atom) = -3.98
- space-group type = Fm-3m (225)